A plane-wave DFT calculation with GGA+U was carried out for a relaxed Sr2Ca14Mn14Al2O43 crystal.

MP2020-corrected energy in eV per cell: -1150.3
Calculated formation energy in eV per atom: -2.603
V in Å³ per cell: 1828.87

a b c (Å): 10.8864 10.9585 15.3363
angles (deg): 89.98 89.78 88.41
Closest atoms and distances in Å follow each position.
Fractional coordinates of all 150 atoms:
Sr (0.0000, 0.0000, 0.0000)  6 O 2.44-2.63
Sr (0.0168, 0.0114, 0.7536)  6 O 2.50-2.71
Sr (0.2681, 0.2559, 0.0088)  7 O 2.47-2.75
Sr (0.7624, 0.7499, 0.7628)  6 O 2.42-2.70
Ca (0.0137, 0.5119, 0.7656)  4 O 2.35-2.49
Ca (0.0189, 0.4999, 0.2420)  3 O 2.31-2.39
Ca (0.0196, 0.4708, 0.5034)  6 O 2.34-2.55
Ca (0.0222, 0.4926, 0.0066)  5 O 2.34-2.58
Ca (0.0248, 0.0193, 0.2359)  6 O 2.30-2.51
Ca (0.0313, 0.0219, 0.5079)  6 O 2.27-2.53
Ca (0.2526, 0.7266, 0.4907)  6 O 2.32-2.48
Ca (0.2559, 0.7417, 0.7664)  5 O 2.26-2.53
Ca (0.2607, 0.7186, 0.0018)  6 O 2.32-2.56
Ca (0.2674, 0.2953, 0.7411)  6 O 2.38-2.50
Ca (0.2708, 0.2468, 0.5026)  4 O 2.31-2.47
Ca (0.2723, 0.2847, 0.2553)  7 O 2.38-2.61
Ca (0.2837, 0.7744, 0.2495)  5 O 2.31-2.54
Ca (0.4916, 0.0264, 0.4904)  7 O 2.36-2.62
Ca (0.5072, 0.5290, 0.2470)  5 O 2.34-2.56
Ca (0.5118, 0.0284, 0.2535)  8 O 2.48-2.72
Ca (0.5191, 0.5055, 0.7643)  5 O 2.35-2.56
Ca (0.5229, 0.4772, 0.0054)  6 O 2.37-2.64
Ca (0.5236, 0.4783, 0.5014)  6 O 2.34-2.57
Ca (0.5282, 0.0235, 0.7339)  6 O 2.33-2.51
Ca (0.5314, 0.9912, 0.0120)  5 O 2.34-2.47
Ca (0.7530, 0.7546, 0.2381)  5 O 2.29-2.52
Ca (0.7550, 0.7142, 0.4957)  6 O 2.27-2.47
Ca (0.7610, 0.2427, 0.5058)  4 O 2.31-2.49
Ca (0.7647, 0.7237, 0.0027)  6 O 2.35-2.61
Ca (0.7661, 0.2853, 0.2454)  6 O 2.32-2.56
Ca (0.7733, 0.2492, 0.0134)  4 O 2.28-2.39
Ca (0.7728, 0.2916, 0.7453)  7 O 2.35-2.59
Mn (0.0022, 0.7425, 0.6352)  4 O 1.86-1.90
Mn (0.0133, 0.7535, 0.8850)  6 O 1.91-2.03
Mn (0.0176, 0.2516, 0.1250)  6 O 1.94-2.05
Mn (0.0209, 0.2595, 0.6338)  6 O 1.90-2.09
Mn (0.0244, 0.2594, 0.3737)  5 O 1.92-2.02
Mn (0.0245, 0.7362, 0.3610)  4 O 1.86-1.94
Mn (0.2509, 0.0000, 0.8837)  4 O 1.90-1.95
Mn (0.2536, 0.0056, 0.3726)  5 O 1.97-2.15
Mn (0.2634, 0.5131, 0.6229)  6 O 1.93-2.05
Mn (0.2658, 0.5103, 0.1290)  6 O 1.97-2.00
Mn (0.2693, 0.5045, 0.3786)  6 O 1.92-2.01
Mn (0.2705, 0.5025, 0.8780)  6 O 1.88-2.04
Mn (0.2820, 0.0130, 0.6306)  5 O 1.91-2.05
Mn (0.4956, 0.7508, 0.6381)  4 O 1.88-1.91
Mn (0.5107, 0.7558, 0.3764)  5 O 1.95-2.02
Mn (0.5129, 0.7597, 0.1227)  6 O 1.93-1.99
Mn (0.5161, 0.2628, 0.3746)  6 O 1.92-2.01
Mn (0.5185, 0.2553, 0.1308)  6 O 1.92-1.99
Mn (0.5195, 0.2622, 0.6295)  6 O 1.91-2.12
Mn (0.5186, 0.7443, 0.8847)  5 O 1.88-2.01
Mn (0.5303, 0.2468, 0.8767)  5 O 1.92-2.01
Mn (0.7368, 0.9862, 0.3908)  4 O 1.83-1.95
Mn (0.7626, 0.5036, 0.1271)  6 O 1.93-1.98
Mn (0.7635, 0.5041, 0.3743)  6 O 1.93-2.12
Mn (0.7646, 0.5066, 0.6237)  6 O 1.94-2.14
Mn (0.7672, 0.0014, 0.1301)  4 O 1.95-2.01
Mn (0.7709, 0.4927, 0.8818)  6 O 1.90-2.04
Mn (0.7818, 0.0146, 0.6248)  5 O 1.93-2.02
Al (0.0380, 0.2726, 0.8781)  5 O 1.78-1.92
Al (0.2856, 0.0279, 0.1301)  4 O 1.79-1.92
Al (0.7385, 0.9801, 0.8755)  4 O 1.79-1.99
Al (0.9974, 0.7409, 0.1287)  5 O 1.81-1.89
O (0.0472, 0.7522, 0.7548)  2 Mn 1.90-2.03
O (0.0497, 0.2458, 0.2493)  2 Mn 1.93-1.94
O (0.0540, 0.2551, 0.7551)  1 Mn 1.90, 1 Al 1.90
O (0.0582, 0.7721, 0.2399)  1 Al 1.87, 1 Mn 1.94
O (0.0947, 0.0970, 0.3775)  2 Mn 1.92-1.98
O (0.1137, 0.6239, 0.5941)  2 Mn 1.86-2.05
O (0.1152, 0.8540, 0.4168)  1 Mn 1.86
O (0.1171, 0.6012, 0.4057)  2 Mn 1.90-1.98
O (0.1194, 0.1216, 0.8849)  1 Al 1.86, 1 Mn 1.93
O (0.1268, 0.6122, 0.8987)  2 Mn 1.97
O (0.1274, 0.6266, 0.1073)  1 Al 1.89, 1 Mn 1.97
O (0.1288, 0.1016, 0.6277)  2 Mn 1.91-2.07
O (0.1326, 0.1032, 0.1107)  1 Al 1.86, 1 Mn 2.04
O (0.1482, 0.3760, 0.1172)  2 Mn 1.99-2.00
O (0.1619, 0.8512, 0.8996)  2 Mn 1.93-1.98
O (0.1626, 0.3726, 0.8897)  1 Al 1.78, 1 Mn 1.88
O (0.1658, 0.3634, 0.6082)  2 Mn 1.99-2.01
O (0.1728, 0.3617, 0.3941)  2 Mn 1.92-2.02
O (0.2287, 0.5149, 0.7489)  2 Mn 1.97-2.04
O (0.2314, 0.5078, 0.2549)  2 Mn 1.94-1.97
O (0.2340, 0.9870, 0.2460)  1 Al 1.92, 1 Mn 1.97
O (0.2718, 0.0216, 0.5023)  2 Mn 1.97-2.01
O (0.2806, 0.9684, 0.7603)  2 Mn 1.95-2.05
O (0.3059, 0.5033, 0.0026)  2 Mn 1.95-1.99
O (0.3070, 0.0181, 0.0000)  1 Mn 1.90, 1 Al 2.01
O (0.3103, 0.5127, 0.5012)  2 Mn 1.93-1.94
O (0.3432, 0.6713, 0.6313)  2 Mn 1.90-1.96
O (0.3639, 0.6590, 0.3669)  2 Mn 1.95-2.01
O (0.3728, 0.6550, 0.1414)  2 Mn 1.95-2.00
O (0.3774, 0.1575, 0.1519)  1 Al 1.79, 1 Mn 1.92
O (0.3780, 0.1541, 0.3620)  2 Mn 1.95-2.15
O (0.3794, 0.6396, 0.8610)  2 Mn 1.96
O (0.3830, 0.1604, 0.6491)  2 Mn 1.91-2.00
O (0.4024, 0.8999, 0.3687)  2 Mn 1.95-1.97
O (0.4030, 0.3801, 0.8552)  2 Mn 1.97-2.01
O (0.4037, 0.9035, 0.1432)  1 Al 1.86, 1 Mn 1.97
O (0.4092, 0.4002, 0.1467)  2 Mn 1.97
O (0.4146, 0.4111, 0.6494)  2 Mn 1.99-2.01
O (0.4163, 0.4087, 0.3552)  2 Mn 1.92-1.93
O (0.4312, 0.9079, 0.6143)  2 Mn 1.88-1.98
O (0.4636, 0.7785, 0.9988)  2 Mn 1.88-1.99
O (0.4820, 0.2648, 0.5026)  2 Mn 1.99-2.00
O (0.4948, 0.2522, 0.0021)  2 Mn 1.96-1.99
O (0.5317, 0.7811, 0.7575)  2 Mn 1.91-2.00
O (0.5431, 0.7501, 0.2466)  2 Mn 1.93-2.02
O (0.5574, 0.2497, 0.2529)  2 Mn 1.92
O (0.5617, 0.2473, 0.7518)  2 Mn 1.94
O (0.5796, 0.0773, 0.8761)  1 Mn 1.92, 1 Al 2.01
O (0.6109, 0.6299, 0.6032)  1 Mn 1.88
O (0.6170, 0.6143, 0.4020)  2 Mn 1.95-2.02
O (0.6191, 0.1059, 0.1230)  2 Mn 1.95
O (0.6203, 0.6142, 0.1009)  2 Mn 1.98
O (0.6272, 0.1241, 0.3942)  2 Mn 1.90-1.94
O (0.6285, 0.1028, 0.6046)  2 Mn 1.93-2.12
O (0.6283, 0.5951, 0.8965)  2 Mn 1.90-2.01
O (0.6303, 0.8594, 0.4341)  2 Mn 1.95-1.96
O (0.6555, 0.8465, 0.9018)  1 Al 1.79, 1 Mn 1.91
O (0.6576, 0.3626, 0.1109)  2 Mn 1.96-1.97
O (0.6621, 0.8579, 0.1051)  2 Mn 1.99-2.01
O (0.6644, 0.3643, 0.6098)  2 Mn 1.94-1.98
O (0.6661, 0.3622, 0.3951)  2 Mn 1.93-2.01
O (0.6735, 0.3507, 0.8938)  2 Mn 1.92-1.97
O (0.7213, 0.5062, 0.2506)  2 Mn 1.95
O (0.7348, 0.5065, 0.7523)  2 Mn 2.00-2.03
O (0.7448, 0.9895, 0.7512)  1 Al 1.91, 1 Mn 2.00
O (0.7473, 0.9660, 0.2724)  1 Mn 1.83
O (0.7820, 0.0476, 0.9770)  1 Al 1.79
O (0.8036, 0.5064, 0.4973)  2 Mn 1.94-1.98
O (0.8073, 0.5019, 0.0049)  2 Mn 1.93
O (0.8160, 0.0208, 0.4973)  2 Mn 1.89-1.99
O (0.8539, 0.6570, 0.6272)  2 Mn 1.89-1.94
O (0.8643, 0.6654, 0.3603)  2 Mn 1.93-2.12
O (0.8721, 0.1410, 0.1467)  2 Mn 1.95-2.05
O (0.8735, 0.6367, 0.1459)  1 Al 1.81, 1 Mn 1.94
O (0.8825, 0.1600, 0.6504)  2 Mn 1.90-2.00
O (0.8844, 0.6364, 0.8680)  2 Mn 1.95-2.04
O (0.9001, 0.3909, 0.1470)  2 Mn 1.94-1.99
O (0.9005, 0.8929, 0.8656)  1 Mn 1.96, 1 Al 1.99
O (0.9066, 0.3948, 0.3513)  2 Mn 1.97
O (0.9076, 0.3772, 0.8566)  1 Al 1.83, 1 Mn 1.96
O (0.9130, 0.8930, 0.1383)  1 Al 1.89, 1 Mn 1.96
O (0.9188, 0.4060, 0.6459)  2 Mn 1.94-2.01
O (0.9282, 0.8980, 0.6218)  2 Mn 1.88-2.02
O (0.9854, 0.7641, 0.0078)  1 Al 1.88, 1 Mn 1.91
O (0.9863, 0.2498, 0.4999)  2 Mn 1.98-2.09
O (0.9898, 0.2609, 0.9984)  1 Al 1.92, 1 Mn 1.97